Record 1
RbNdSe2 | PBE | optimized geometry

The space-group type is R-3m, No. 166. The volume is 33.40 A^3/atom. As for the crystal system: trigonal. The calculation puts the total energy at -4.911 eV/atom.

Unit cell a=4.384 b=4.384 c=8.416 alpha=74.90 beta=74.90 gamma=60.00
Sites, in units of the cell vectors:
Rb: 0.000 0.000 0.000
Nd: 0.500 0.500 0.500
Se: 0.234 0.234 0.299
Se: 0.766 0.766 0.701

---

Record 2
RbNdTe4 | PBE | optimized geometry

The space-group type is P4/nbm, No. 125. The volume is 37.74 A^3/atom. As for the crystal system: tetragonal. The calculation puts the total energy at -4.012 eV/atom.

Unit cell a=6.968 b=6.968 c=9.329 alpha=90.00 beta=90.00 gamma=90.00
Sites, in units of the cell vectors:
Rb: 0.500 0.500 0.000
Rb: 0.000 0.000 0.000
Nd: 0.500 0.500 0.500
Nd: 0.000 0.000 0.500
Te: 0.356 0.856 0.295
Te: 0.144 0.356 0.295
Te: 0.856 0.644 0.295
Te: 0.356 0.144 0.705
Te: 0.644 0.856 0.705
Te: 0.644 0.144 0.295
Te: 0.856 0.356 0.705
Te: 0.144 0.644 0.705

---

Record 3
Nd2Re3Si5 | PBE | optimized geometry

The space-group type is P4/mnc, No. 128. The volume is 17.48 A^3/atom. As for the crystal system: tetragonal. The calculation puts the total energy at -7.963 eV/atom.

Unit cell a=11.036 b=11.036 c=5.740 alpha=90.00 beta=90.00 gamma=90.00
Sites, in units of the cell vectors:
Nd: 0.423 0.264 0.500
Nd: 0.077 0.764 0.000
Nd: 0.923 0.236 0.000
Nd: 0.764 0.923 0.000
Nd: 0.264 0.577 0.500
Nd: 0.736 0.423 0.500
Nd: 0.577 0.736 0.500
Nd: 0.236 0.077 0.000
Re: 0.000 0.500 0.250
Re: 0.500 0.000 0.750
Re: 0.000 0.500 0.750
Re: 0.500 0.000 0.250
Re: 0.352 0.375 0.000
Re: 0.375 0.648 0.000
Re: 0.625 0.352 0.000
Re: 0.648 0.625 0.000
Re: 0.148 0.875 0.500
Re: 0.852 0.125 0.500
Re: 0.875 0.852 0.500
Re: 0.125 0.148 0.500
Si: 0.317 0.024 0.500
Si: 0.683 0.976 0.500
Si: 0.976 0.317 0.500
Si: 0.024 0.683 0.500
Si: 0.524 0.817 0.000
Si: 0.817 0.476 0.000
Si: 0.183 0.524 0.000
Si: 0.476 0.183 0.000
Si: 0.671 0.171 0.750
Si: 0.171 0.329 0.750
Si: 0.829 0.671 0.750
Si: 0.329 0.829 0.750
Si: 0.329 0.829 0.250
Si: 0.000 0.000 0.263
Si: 0.171 0.329 0.250
Si: 0.671 0.171 0.250
Si: 0.500 0.500 0.763
Si: 0.000 0.000 0.737
Si: 0.500 0.500 0.237
Si: 0.829 0.671 0.250

---

Record 4
NdRh3 | PBE | optimized geometry

The space-group type is P6_3/mmc, No. 194. The volume is 18.14 A^3/atom. As for the crystal system: hexagonal. The calculation puts the total energy at -7.219 eV/atom.

Unit cell a=5.337 b=5.337 c=17.649 alpha=90.00 beta=90.00 gamma=120.00
Sites, in units of the cell vectors:
Nd: 0.333 0.667 0.542
Nd: 0.667 0.333 0.042
Nd: 0.667 0.333 0.458
Nd: 0.333 0.667 0.958
Nd: 0.333 0.667 0.750
Nd: 0.667 0.333 0.250
Rh: 0.166 0.333 0.127
Rh: 0.834 0.667 0.627
Rh: 0.667 0.834 0.127
Rh: 0.166 0.834 0.127
Rh: 0.834 0.166 0.627
Rh: 0.333 0.166 0.627
Rh: 0.834 0.667 0.873
Rh: 0.834 0.166 0.873
Rh: 0.333 0.166 0.873
Rh: 0.667 0.834 0.373
Rh: 0.166 0.834 0.373
Rh: 0.166 0.333 0.373
Rh: 0.000 0.000 0.250
Rh: 0.000 0.000 0.750
Rh: 0.333 0.667 0.250
Rh: 0.667 0.333 0.750
Rh: 0.000 0.000 0.000
Rh: 0.000 0.000 0.500

---

Energy of formation for every record listed, in sequence, given in eV/atom: -1.962 -1.240 -0.528 -0.504.